Version i
A plane-wave DFT calculation with PBE with a Hubbard U was carried out for a relaxed LiP2WO8 crystal.

Calculated values
The total magnetic moment is 2.00 μB/cell. As for the calculated density: 4.1 g/cm3.

Lattice parameters (Å, degrees): 5.2889 7.3405 8.0378 90.00 91.72 90.00
Space group P2_1 (No. 4)
Asymmetric unit:
Li  0.1228  0.0000  0.2118
P  0.2420  0.1030  0.5528
P  0.2764  0.7293  0.9416
W  0.2454  0.4215  0.2527
O  0.0100  0.0941  0.6741
O  0.0370  0.7418  0.8181
O  0.2253  0.9565  0.4253
O  0.2473  0.5348  0.0209
O  0.2488  0.3008  0.4795
O  0.2945  0.8797  0.0632
O  0.4758  0.0860  0.6765
O  0.4880  0.2321  0.1751

---

Version ii
A plane-wave DFT calculation with PBE with a Hubbard U was carried out for a relaxed LiP2WO8 crystal.

Calculated values
The total magnetic moment is 4.00 μB/cell. As for the calculated density: 3.7 g/cm3.

Lattice parameters (Å, degrees): 5.0289 13.0266 11.1797 90.00 109.02 90.00
Space group P2_1/c (No. 14)
Asymmetric unit:
Li  0.0898  0.1188  0.4707
P  0.3058  0.0853  0.1176
P  0.4195  0.7462  0.7111
W  0.0967  0.0742  0.7900
O  0.0842  0.0641  0.6293
O  0.1194  0.0933  0.9797
O  0.1354  0.0573  0.2054
O  0.2438  0.6776  0.1209
O  0.2689  0.6561  0.7510
O  0.3337  0.2057  0.8298
O  0.4215  0.1997  0.1518
O  0.4485  0.5128  0.3649

---

What should be chosen as the most stable of them? Choose version ii.

---

Version i
A plane-wave DFT calculation with PBE with a Hubbard U was carried out for a relaxed LiP2WO8 crystal.

Calculated values
The total magnetic moment is 4.00 μB/cell. As for the calculated density: 3.7 g/cm3.

Lattice parameters (Å, degrees): 4.8956 8.8363 15.6213 90.00 91.93 90.00
Space group P2_1/c (No. 14)
Asymmetric unit:
Li  0.0385  0.1947  0.0698
P  0.3517  0.1065  0.7665
P  0.3906  0.7151  0.5778
W  0.1233  0.0592  0.3437
O  0.0020  0.5947  0.9042
O  0.1013  0.0006  0.7665
O  0.1785  0.7077  0.1335
O  0.2710  0.2263  0.2580
O  0.2802  0.6438  0.4972
O  0.3596  0.1786  0.4340
O  0.4482  0.5664  0.8025
O  0.4923  0.0791  0.8598

---

Version ii
A plane-wave DFT calculation with PBE with a Hubbard U was carried out for a relaxed LiP2WO8 crystal.

Calculated values
The total magnetic moment is 4.00 μB/cell. As for the calculated density: 3.7 g/cm3.

Lattice parameters (Å, degrees): 5.3319 11.0596 11.4515 90.00 90.00 90.00
Space group P2_12_12_1 (No. 19)
Asymmetric unit:
Li  0.2436  0.2488  0.3902
P  0.2456  0.9045  0.5402
P  0.2501  0.1378  0.6601
W  0.2494  0.4032  0.1531
O  0.0033  0.6687  0.7800
O  0.0045  0.9386  0.4760
O  0.0204  0.8288  0.2362
O  0.0231  0.0648  0.9677
O  0.2277  0.8049  0.0424
O  0.2425  0.5475  0.2144
O  0.2444  0.7772  0.5881
O  0.2451  0.0084  0.1531

---

What should be chosen as the most stable of them? Choose version ii.

---

Version i
A plane-wave DFT calculation with PBE with a Hubbard U was carried out for a relaxed Li3P3W2O12 crystal.

Calculated values
The total magnetic moment is 24.00 μB/cell. As for the calculated density: 4.4 g/cm3.

Lattice parameters (Å, degrees): 8.9319 8.9986 15.3803 90.00 125.34 90.00
Space group P2_1/c (No. 14)
Asymmetric unit:
Li  0.0275  0.2238  0.3222
Li  0.3202  0.2023  0.2410
Li  0.3831  0.5905  0.3057
P  0.0483  0.1024  0.6506
P  0.2536  0.6144  0.6519
P  0.4513  0.2486  0.9911
W  0.1367  0.5425  0.3889
W  0.3638  0.5361  0.1119
O  0.0312  0.2440  0.1920
O  0.0976  0.5226  0.2346
O  0.1045  0.5956  0.6732
O  0.1233  0.5574  0.9547
O  0.1749  0.5949  0.5349
O  0.2217  0.1201  0.6499
O  0.2588  0.1746  0.9339
O  0.3344  0.7262  0.1919
O  0.3967  0.6333  0.4353
O  0.4067  0.0074  0.2182
O  0.4677  0.1291  0.5643
O  0.4690  0.1952  0.4017

---

Version ii
A plane-wave DFT calculation with PBE with a Hubbard U was carried out for a relaxed Li3P3W2O12 crystal.

Calculated values
The total magnetic moment is 36.00 μB/cell. As for the calculated density: 4.4 g/cm3.

Lattice parameters (Å, degrees): 8.6937 8.6937 23.3745 90.00 90.00 120.00
Space group R-3 (No. 148, hexagonal axes)
Asymmetric unit:
Li  0.0190  0.3778  0.2169
P  0.9996  0.2931  0.7507
W  0.0000  0.0000  0.1533
W  0.0000  0.0000  0.3557
O  0.0028  0.7985  0.3043
O  0.0581  0.8329  0.5876
O  0.0831  0.5697  0.8658
O  0.0923  0.5654  0.5636

---

What should be chosen as the most stable of them? Choose version ii.

---

Version i
A plane-wave DFT calculation with PBE with a Hubbard U was carried out for a relaxed LiPW2O8 crystal.

Calculated values
The total magnetic moment is 4.00 μB/cell. As for the calculated density: 5.3 g/cm3.

Lattice parameters (Å, degrees): 6.8047 5.4440 9.2283 90.00 99.74 90.00
Space group P2_1/m (No. 11)
Asymmetric unit:
Li  0.2030  0.2500  0.1242
P  0.2782  0.7500  0.8769
W  0.1420  0.2500  0.4111
W  0.4491  0.7500  0.2484
O  0.0000  0.0000  0.5000
O  0.0610  0.7500  0.7927
O  0.2573  0.7500  0.0431
O  0.2781  0.0102  0.3001
O  0.3628  0.2500  0.5812
O  0.3888  0.5157  0.8453

---

Version ii
A plane-wave DFT calculation with PBE with a Hubbard U was carried out for a relaxed LiPW2O8 crystal.

Calculated values
The total magnetic moment is 8.00 μB/cell. As for the calculated density: 5.4 g/cm3.

Lattice parameters (Å, degrees): 6.8027 5.4050 17.9820 90.00 90.61 90.00
Space group P2_1 (No. 4)
Asymmetric unit:
Li  0.2419  0.0000  0.2972
Li  0.2479  0.9889  0.7945
P  0.1962  0.4285  0.1925
P  0.3011  0.4282  0.6899
W  0.0045  0.9432  0.6248
W  0.1604  0.9380  0.9535
W  0.3400  0.9359  0.4534
W  0.4970  0.9331  0.1274
O  0.0036  0.4436  0.1468
O  0.0045  0.1808  0.9958
O  0.1354  0.3972  0.2748
O  0.1496  0.6145  0.6615
O  0.1515  0.7364  0.3890
O  0.1626  0.9423  0.5427
O  0.2034  0.2205  0.4121
O  0.2151  0.1585  0.6894
O  0.3066  0.1863  0.1770
O  0.3206  0.1742  0.8927
O  0.3229  0.6618  0.1846
O  0.3235  0.6902  0.9076
O  0.3385  0.9336  0.0444
O  0.3516  0.4884  0.7718
O  0.4755  0.6636  0.4903
O  0.4970  0.4412  0.6468

---

What should be chosen as the most stable of them? Choose version ii.